Entry 1:
This record from the Materials Project describes a relaxed Ba2PtAu crystal. The functional is meta-GGA r2SCAN.

Values from the calculation:
V, Å³ per cell: 256.3

a = 4.778 Å, b = 4.457 Å, c = 12.034 Å
α = 90.00°, β = 90.00°, γ = 90.00°
Space group Amm2 (No. 38)
One atom of each set of equivalent atoms:
Ba (0.000, 0.000, 0.000) x2
Ba (0.500, 0.000, 0.275) x2
Pt (0.000, 0.000, 0.713) x2
Au (0.500, 0.000, 0.564) x2


Entry 2:
This record from the Materials Project describes a relaxed Ba8Si43Au3 crystal. The functional is meta-GGA r2SCAN.

Values from the calculation:
V, Å³ per cell: 3392.5

a = 14.7393 Å, b = 14.7393 Å, c = 18.0317 Å
α = 90.00°, β = 90.00°, γ = 120.00°
Space group R32 (No. 155, hexagonal axes)
One atom of each set of equivalent atoms:
Ba (0.0000, 0.0000, 0.2495) x6
Ba (0.0000, 0.2387, 0.0000) x9
Ba (0.0000, 0.7387, 0.5000) x9
Si (0.0000, 0.0000, 0.0665) x6
Si (0.0000, 0.0000, 0.4358) x6
Si (0.0000, 0.2510, 0.5000) x9
Si (0.0210, 0.8579, 0.1094) x18
Si (0.0242, 0.1649, 0.6072) x18
Si (0.0623, 0.2434, 0.1892) x18
Si (0.0621, 0.8193, 0.6862) x18
Si (0.0866, 0.5426, 0.4767) x18
Si (0.0871, 0.5434, 0.9802) x18
Au (0.0000, 0.7507, 0.0000) x9


Record-wise formation enthalpy at 0 K values, in eV per atom: -0.767; -0.222